Below is a relaxed Sr2TiMnO6 crystal, with properties calculated at the PBE+U level.

Calculated values
As for the space group: Pm-3m (221). The total energy after the MP2020 corrections comes out at -8.027 eV/atom. The excess energy over the best structure of this formula in the dataset is 14 meV per atom. The calculation puts the electronic total energy at -7.448 eV per atom. Its formation energy is -3.014 eV per atom. The calculation puts the density at 5.17 g/cm3.

Cell lengths 7.8329, 7.8329, 7.8329 Å; angles 90.00, 90.00, 90.00 degrees
Sites, in units of the cell vectors:
Sr 0.2480 0.2480 0.2480
Sr 0.2480 0.2480 0.7520
Sr 0.2480 0.7520 0.2480
Sr 0.2480 0.7520 0.7520
Sr 0.7520 0.2480 0.2480
Sr 0.7520 0.2480 0.7520
Sr 0.7520 0.7520 0.2480
Sr 0.7520 0.7520 0.7520
Ti 0.0000 0.5000 0.5000
Ti 0.5000 0.0000 0.5000
Ti 0.5000 0.5000 0.0000
Ti 0.5000 0.5000 0.5000
Mn 0.0000 0.0000 0.0000
Mn 0.0000 0.0000 0.5000
Mn 0.0000 0.5000 0.0000
Mn 0.5000 0.0000 0.0000
O 0.0000 0.0000 0.2512
O 0.0000 0.0000 0.7488
O 0.0000 0.2476 0.5000
O 0.0000 0.2512 0.0000
O 0.0000 0.5000 0.2476
O 0.0000 0.5000 0.7524
O 0.0000 0.7488 0.0000
O 0.0000 0.7524 0.5000
O 0.2476 0.0000 0.5000
O 0.2476 0.5000 0.0000
O 0.2497 0.5000 0.5000
O 0.2512 0.0000 0.0000
O 0.5000 0.0000 0.2476
O 0.5000 0.0000 0.7524
O 0.5000 0.2476 0.0000
O 0.5000 0.2497 0.5000
O 0.5000 0.5000 0.2497
O 0.5000 0.5000 0.7503
O 0.5000 0.7503 0.5000
O 0.5000 0.7524 0.0000
O 0.7488 0.0000 0.0000
O 0.7503 0.5000 0.5000
O 0.7524 0.0000 0.5000
O 0.7524 0.5000 0.0000


Below is a relaxed Li9Mn2Co5O16 crystal, with properties calculated at the PBE+U level.

Calculated values
As for the space group: Cm (8). The total energy after the MP2020 corrections comes out at -6.490 eV/atom. The excess energy over the best structure of this formula in the dataset is 68 meV per atom. The calculation puts the electronic total energy at -5.787 eV per atom. Its formation energy is -1.796 eV per atom. The calculation puts the density at 4.18 g/cm3.

Cell lengths 9.8106, 9.8106, 10.3413 Å; angles 96.85, 96.85, 16.91 degrees
Sites, in units of the cell vectors:
Li 0.0000 0.0000 0.0000
Li 0.1223 0.1223 0.6887
Li 0.2394 0.2394 0.3885
Li 0.2416 0.2416 0.8661
Li 0.5004 0.5004 0.2585
Li 0.5032 0.5032 0.7313
Li 0.7373 0.7373 0.6273
Li 0.7432 0.7432 0.1268
Li 0.9966 0.9966 0.5058
Mn 0.3729 0.3729 0.0636
Mn 0.6238 0.6238 0.9303
Co 0.1223 0.1223 0.1916
Co 0.3680 0.3680 0.5656
Co 0.6133 0.6133 0.4573
Co 0.8699 0.8699 0.3151
Co 0.8710 0.8710 0.8116
O 0.0634 0.0634 0.3454
O 0.0643 0.0643 0.8566
O 0.1767 0.1767 0.5251
O 0.1782 0.1782 0.0217
O 0.3132 0.3132 0.7242
O 0.3199 0.3199 0.2165
O 0.4243 0.4243 0.3989
O 0.4240 0.4240 0.9149
O 0.5585 0.5585 0.5852
O 0.5700 0.5700 0.0962
O 0.6781 0.6781 0.7960
O 0.6787 0.6787 0.2702
O 0.8116 0.8116 0.4730
O 0.8148 0.8148 0.9869
O 0.9286 0.9286 0.6519
O 0.9299 0.9299 0.1444


Below is a relaxed Li4Fe3Co3Ni2O16 crystal, with properties calculated at the PBE+U level.

Calculated values
As for the space group: Cm (8). The total energy after the MP2020 corrections comes out at -6.657 eV/atom. The calculation puts the electronic total energy at -5.666 eV per atom. Its formation energy is -1.475 eV per atom. The calculation puts the density at 4.49 g/cm3.

Cell lengths 5.7742, 5.7742, 9.5604 Å; angles 90.23, 90.23, 59.92 degrees
Sites, in units of the cell vectors:
Li 0.0000 0.0000 0.0000
Li 0.0006 0.0006 0.4981
Li 0.3416 0.3416 0.6025
Li 0.6751 0.6751 0.1067
Fe 0.1757 0.1757 0.2823
Fe 0.3450 0.8376 0.7824
Fe 0.8376 0.3450 0.7824
Co 0.1753 0.6691 0.2843
Co 0.6691 0.1753 0.2843
Co 0.8367 0.8367 0.7854
Ni 0.3377 0.3377 0.0099
Ni 0.6731 0.6731 0.5079
O 0.0433 0.4963 0.1677
O 0.1569 0.6827 0.8900
O 0.1654 0.1654 0.8948
O 0.3246 0.8388 0.3895
O 0.3466 0.3466 0.3917
O 0.4870 0.4870 0.1726
O 0.4963 0.0433 0.1677
O 0.5249 0.5249 0.6619
O 0.5339 0.9713 0.6656
O 0.6769 0.6769 0.8963
O 0.6827 0.1569 0.8900
O 0.8388 0.3246 0.3895
O 0.8464 0.8464 0.3835
O 0.9713 0.5339 0.6656
O 0.9988 0.9988 0.1856
O 0.9989 0.9989 0.6838


Below is a relaxed SrV3O7 crystal, with properties calculated at the PBE+U level.

Calculated values
As for the space group: Pmmn (59). The total energy after the MP2020 corrections comes out at -8.490 eV/atom. The calculation puts the electronic total energy at -7.589 eV per atom. Its formation energy is -2.710 eV per atom. The calculation puts the density at 3.62 g/cm3.

Cell lengths 5.3693, 10.6144, 5.6660 Å; angles 90.00, 90.00, 90.00 degrees
Sites, in units of the cell vectors:
Sr 0.2500 0.2500 0.1455
Sr 0.7500 0.7500 0.8545
V 0.2500 0.0199 0.6162
V 0.2500 0.4801 0.6162
V 0.2500 0.7500 0.4231
V 0.7500 0.2500 0.5769
V 0.7500 0.5199 0.3838
V 0.7500 0.9801 0.3838
O 0.0131 0.6197 0.5480
O 0.0131 0.8803 0.5480
O 0.2500 0.0600 0.8989
O 0.2500 0.4400 0.8989
O 0.2500 0.7500 0.1300
O 0.4869 0.6197 0.5480
O 0.4869 0.8803 0.5480
O 0.5131 0.1197 0.4520
O 0.5131 0.3803 0.4520
O 0.7500 0.2500 0.8700
O 0.7500 0.5600 0.1011
O 0.7500 0.9400 0.1011
O 0.9869 0.1197 0.4520
O 0.9869 0.3803 0.4520


- density of number 2 (Li9Mn2Co5O16)?
  4.18 g/cm3